This record from the Materials Project describes crystalline PdPb2Br6 at its relaxed geometry. The functional is r²SCAN.

Geometry as POSCAR:
```
PdPb2Br6
1.0
-2.495 0.010 -6.285
3.211 -7.576 -1.286
-8.147 -4.102 3.228
Br Pb Pd
12 4 2
direct
0.380 0.525 0.239
0.699 0.150 0.060
0.120 0.025 0.239
0.344 0.831 0.556
0.620 0.475 0.761
0.880 0.975 0.761
0.801 0.650 0.060
0.656 0.169 0.444
0.156 0.331 0.556
0.199 0.350 0.940
0.844 0.669 0.444
0.301 0.850 0.940
0.455 0.121 0.719
0.955 0.379 0.281
0.045 0.621 0.719
0.545 0.879 0.281
0.000 0.000 0.000
0.500 0.500 0.000
```

Output
Calculated formation energy (eV/atom): -0.8515
Magnetic moment (μB/f.u.): 0.00